# 1
# Tm12Co5Bi

A geometry-optimized Tm12Co5Bi structure (meta-GGA r2SCAN, the Materials Project database).

- V: 418.3 Å³ per cell
- E: -30.623 eV/atom

Lattice parameters (Å, degrees): 8.165 8.165 8.165 110.48 111.13 106.83
Positions (direct):
Tm 0.285 0.182 0.467
Tm 0.715 0.818 0.533
Tm 0.285 0.818 0.103
Tm 0.715 0.182 0.897
Tm 0.618 0.310 0.308
Tm 0.382 0.690 0.692
Tm 0.002 0.310 0.692
Tm 0.998 0.690 0.308
Tm 0.211 0.410 0.199
Tm 0.789 0.590 0.801
Tm 0.211 0.012 0.801
Tm 0.789 0.988 0.199
Co 0.000 0.380 0.380
Co 0.000 0.620 0.620
Co 0.389 0.889 0.500
Co 0.611 0.111 0.500
Co 0.000 0.000 0.000
Bi 0.500 0.500 0.000

# 2
# ZrFe6Ge6

A geometry-optimized ZrFe6Ge6 structure (meta-GGA r2SCAN, the Materials Project database).

- V: 181.2 Å³ per cell
- E: -15.000 eV/atom

Lattice parameters (Å, degrees): 5.062 5.062 8.165 90.00 90.00 120.00
Positions (direct):
Zr 0.000 0.000 0.000
Fe 0.500 0.000 0.250
Fe 0.500 0.500 0.250
Fe 0.000 0.500 0.250
Fe 0.500 0.500 0.750
Fe 0.000 0.500 0.750
Fe 0.500 0.000 0.750
Ge 0.333 0.667 0.000
Ge 0.667 0.333 0.000
Ge 0.000 0.000 0.343
Ge 0.667 0.333 0.500
Ge 0.333 0.667 0.500
Ge 0.000 0.000 0.657

# 3
# SmC2

A geometry-optimized SmC2 structure (meta-GGA r2SCAN, the Materials Project database).

- V: 45.3 Å³ per cell
- E: -16.869 eV/atom

Lattice parameters (Å, degrees): 3.773 3.773 4.151 117.03 117.03 90.00
Positions (direct):
Sm 0.000 0.000 0.000
C 0.602 0.602 0.203
C 0.398 0.398 0.797